PuSi: relaxed, meta-GGA r2SCAN.

Structure (CIF):
```
data_PuSi
_chemical_formula_sum 'Pu4 Si4'
_cell_length_a 8.010
_cell_length_b 3.835
_cell_length_c 5.771
_cell_angle_alpha 90.00
_cell_angle_beta 90.00
_cell_angle_gamma 90.00
_space_group_name_H-M_alt 'P n m a'
_space_group_IT_number 62
loop_
_space_group_symop_operation_xyz
'x,y,z'
'-x,-y,-z'
'-x+1/2,-y,z+1/2'
'x+1/2,y,-z+1/2'
'x+1/2,-y+1/2,-z+1/2'
'-x+1/2,y+1/2,z+1/2'
'-x,y+1/2,-z'
'x,-y+1/2,z'
loop_
_atom_site_label
_atom_site_fract_x
_atom_site_fract_y
_atom_site_fract_z
Pu1 0.177 0.250 0.106
Si1 0.032 0.250 0.619
```

Calculated values
* ΔH_f (0 K): -0.738 eV per atom
* raw total energy: -48.30 eV/atom

---

Pu2Si4Tc3: relaxed, meta-GGA r2SCAN.

Structure (CIF):
```
data_Pu2Si4Tc3
_chemical_formula_sum 'Pu4 Si8 Tc6'
_cell_length_a 6.807
_cell_length_b 8.053
_cell_length_c 5.632
_cell_angle_alpha 90.00
_cell_angle_beta 103.59
_cell_angle_gamma 90.00
_space_group_name_H-M_alt 'P 1 21/c 1'
_space_group_IT_number 14
loop_
_space_group_symop_operation_xyz
'x,y,z'
'-x,-y,-z'
'-x,y+1/2,-z+1/2'
'x,-y+1/2,z+1/2'
loop_
_atom_site_label
_atom_site_fract_x
_atom_site_fract_y
_atom_site_fract_z
Pu1 0.244 0.063 0.077
Si1 0.087 0.748 0.280
Si2 0.375 0.093 0.622
Tc1 0.000 0.000 0.500
Tc2 0.390 0.705 0.113
```

Calculated values
* ΔH_f (0 K): -0.675 eV per atom
* raw total energy: -32.42 eV/atom

---

PuSn2: relaxed, meta-GGA r2SCAN.

Structure (CIF):
```
data_PuSn2
_chemical_formula_sum 'Pu8 Sn16'
_cell_length_a 30.054
_cell_length_b 4.586
_cell_length_c 4.613
_cell_angle_alpha 90.00
_cell_angle_beta 98.79
_cell_angle_gamma 90.00
_space_group_name_H-M_alt 'C 1 2/m 1'
_space_group_IT_number 12
loop_
_space_group_symop_operation_xyz
'x,y,z'
'-x,-y,-z'
'-x,y,-z'
'x,-y,z'
'x+1/2,y+1/2,z'
'-x+1/2,-y+1/2,-z'
'-x+1/2,y+1/2,-z'
'x+1/2,-y+1/2,z'
loop_
_atom_site_label
_atom_site_fract_x
_atom_site_fract_y
_atom_site_fract_z
Pu1 0.049 0.000 0.298
Pu2 0.200 0.000 0.449
Sn1 0.037 0.500 0.786
Sn2 0.123 0.500 0.374
Sn3 0.126 0.000 0.875
Sn4 0.213 0.500 0.964
```

Calculated values
* ΔH_f (0 K): -0.498 eV per atom
* raw total energy: -45.78 eV/atom

---

Pu3Sn: relaxed, meta-GGA r2SCAN.

Structure (CIF):
```
data_Pu3Sn
_chemical_formula_sum 'Pu3 Sn1'
_cell_length_a 4.748
_cell_length_b 4.748
_cell_length_c 4.748
_cell_angle_alpha 90.00
_cell_angle_beta 90.00
_cell_angle_gamma 90.00
_space_group_name_H-M_alt 'P m -3 m'
_space_group_IT_number 221
_space_group_name_Hall '-P 4 2 3'
loop_
_atom_site_label
_atom_site_fract_x
_atom_site_fract_y
_atom_site_fract_z
Pu1 0.000 0.000 0.500
Sn1 0.500 0.500 0.500
```

Calculated values
* ΔH_f (0 K): -0.665 eV per atom
* raw total energy: -71.62 eV/atom

---

- What is the raw total energy in the second record?
  -32.42 eV/atom

---

- Which of these has the lowest raw total energy?
  Pu3Sn